1.
The following is a PBE calculation of crystalline Zn3As2 at its relaxed geometry, from the Materials Project database.

```
Zn3As2
1.0
11.918 0.000 0.000
0.000 11.918 0.000
0.000 0.000 23.872
Zn As
96 64
Direct
0.137 0.891 0.071
0.638 0.862 0.555
0.395 0.626 0.937
0.362 0.362 0.945
0.860 0.140 0.196
0.887 0.633 0.320
0.140 0.640 0.196
0.363 0.891 0.929
0.874 0.395 0.437
0.126 0.605 0.563
0.374 0.605 0.437
0.637 0.109 0.071
0.138 0.138 0.555
0.637 0.391 0.929
0.105 0.874 0.937
0.870 0.896 0.312
0.105 0.626 0.063
0.895 0.374 0.937
0.626 0.395 0.563
0.609 0.363 0.429
0.360 0.640 0.304
0.867 0.887 0.820
0.130 0.396 0.312
0.360 0.640 0.804
0.638 0.638 0.445
0.138 0.362 0.445
0.396 0.370 0.812
0.887 0.867 0.680
0.895 0.126 0.063
0.113 0.367 0.680
0.863 0.391 0.071
0.638 0.862 0.945
0.360 0.860 0.196
0.640 0.360 0.696
0.363 0.609 0.071
0.360 0.860 0.696
0.109 0.863 0.571
0.140 0.860 0.804
0.870 0.604 0.688
0.138 0.138 0.945
0.896 0.630 0.812
0.133 0.113 0.180
0.604 0.870 0.812
0.140 0.860 0.304
0.395 0.874 0.063
0.891 0.137 0.429
0.860 0.360 0.304
0.862 0.862 0.445
0.860 0.360 0.804
0.630 0.604 0.312
0.862 0.638 0.555
0.138 0.362 0.055
0.626 0.105 0.437
0.896 0.870 0.188
0.109 0.637 0.429
0.362 0.362 0.555
0.613 0.633 0.680
0.867 0.613 0.180
0.605 0.126 0.937
0.367 0.113 0.820
0.863 0.109 0.929
0.605 0.374 0.063
0.137 0.609 0.929
0.891 0.363 0.571
0.113 0.133 0.320
0.133 0.387 0.820
0.862 0.862 0.055
0.640 0.360 0.196
0.638 0.638 0.055
0.140 0.640 0.696
0.370 0.396 0.688
0.370 0.104 0.312
0.374 0.895 0.563
0.387 0.133 0.680
0.604 0.630 0.188
0.362 0.138 0.055
0.126 0.895 0.437
0.874 0.105 0.563
0.630 0.896 0.688
0.609 0.137 0.571
0.640 0.140 0.804
0.860 0.140 0.696
0.391 0.637 0.571
0.396 0.130 0.188
0.387 0.367 0.320
0.640 0.140 0.304
0.613 0.867 0.320
0.862 0.638 0.945
0.362 0.138 0.445
0.367 0.387 0.180
0.104 0.130 0.812
0.104 0.370 0.188
0.633 0.613 0.820
0.130 0.104 0.688
0.391 0.863 0.429
0.633 0.887 0.180
0.755 0.999 0.752
0.250 0.750 0.625
0.501 0.750 0.000
0.001 0.005 0.625
0.495 0.001 0.125
0.997 0.250 0.500
0.999 0.745 0.252
0.499 0.255 0.252
0.250 0.250 0.625
0.750 0.999 0.500
0.245 0.001 0.248
0.497 0.750 0.500
0.001 0.250 0.000
0.995 0.501 0.875
0.250 0.997 0.000
0.750 0.250 0.625
0.250 0.499 0.500
0.499 0.005 0.375
0.745 0.501 0.752
0.999 0.755 0.748
0.995 0.999 0.125
0.255 0.001 0.752
0.003 0.750 0.500
0.499 0.495 0.625
0.750 0.750 0.625
0.250 0.503 0.000
0.999 0.750 0.000
0.250 0.250 0.875
0.250 0.001 0.500
0.750 0.750 0.375
0.245 0.499 0.752
0.750 0.497 0.000
0.750 0.501 0.500
0.001 0.495 0.375
0.005 0.001 0.875
0.750 0.750 0.875
0.001 0.245 0.252
0.999 0.995 0.375
0.501 0.755 0.252
0.750 0.250 0.375
0.250 0.750 0.375
0.495 0.499 0.875
0.505 0.501 0.125
0.999 0.505 0.625
0.505 0.999 0.875
0.255 0.499 0.248
0.250 0.750 0.875
0.745 0.999 0.248
0.501 0.745 0.748
0.750 0.250 0.125
0.750 0.250 0.875
0.501 0.995 0.625
0.499 0.245 0.748
0.005 0.499 0.125
0.750 0.003 0.000
0.750 0.750 0.125
0.250 0.250 0.125
0.001 0.255 0.748
0.501 0.505 0.375
0.499 0.250 0.000
0.755 0.501 0.248
0.250 0.750 0.125
0.250 0.250 0.375
0.503 0.250 0.500
```

Output
* magnetic moment: 0.0 μB/cell
* formation energy: -0.1480 eV per atom

---

2.
The following is a PBE calculation of crystalline Zn3As2 at its relaxed geometry, from the Materials Project database.

```
Zn3As2
1.0
-5.956 5.956 11.984
5.956 -5.956 11.984
5.956 5.956 -11.984
Zn As
48 32
Direct
0.435 0.457 0.273
0.935 0.662 0.978
0.707 0.185 0.773
0.207 0.434 0.522
0.315 0.793 0.227
0.815 0.588 0.522
0.043 0.065 0.727
0.543 0.816 0.978
0.684 0.957 0.022
0.184 0.162 0.727
0.912 0.685 0.478
0.412 0.934 0.227
0.066 0.293 0.478
0.566 0.088 0.773
0.838 0.565 0.022
0.338 0.316 0.273
0.693 0.424 0.502
0.193 0.691 0.269
0.674 0.443 0.002
0.174 0.172 0.231
0.057 0.826 0.998
0.557 0.559 0.231
0.076 0.807 0.498
0.576 0.078 0.269
0.422 0.924 0.731
0.922 0.191 0.498
0.941 0.943 0.769
0.441 0.672 0.998
0.328 0.326 0.769
0.828 0.059 0.002
0.809 0.307 0.731
0.309 0.578 0.502
0.459 0.200 0.016
0.959 0.944 0.259
0.450 0.209 0.516
0.950 0.435 0.241
0.291 0.050 0.484
0.791 0.306 0.241
0.300 0.041 0.984
0.800 0.815 0.259
0.685 0.700 0.741
0.185 0.444 0.984
0.194 0.709 0.759
0.694 0.935 0.484
0.065 0.550 0.759
0.565 0.806 0.516
0.556 0.541 0.741
0.056 0.315 0.016
0.000 0.000 0.000
0.500 0.500 0.000
0.250 0.750 0.500
0.750 0.250 0.500
0.250 0.250 0.000
0.750 0.750 0.000
0.500 0.000 0.500
0.000 0.500 0.500
0.375 0.125 0.750
0.875 0.125 0.250
0.375 0.125 0.250
0.875 0.625 0.250
0.875 0.625 0.750
0.375 0.625 0.250
0.375 0.625 0.750
0.875 0.125 0.750
0.105 0.875 0.730
0.605 0.875 0.230
0.125 0.855 0.230
0.625 0.395 0.270
0.645 0.375 0.770
0.145 0.375 0.270
0.125 0.355 0.730
0.625 0.895 0.770
0.509 0.509 0.519
0.009 0.491 0.000
0.759 0.259 0.019
0.259 0.241 0.500
0.241 0.741 0.981
0.741 0.759 0.500
0.991 0.991 0.481
0.491 0.009 0.000
```

Output
* magnetic moment: 0.0 μB/cell
* formation energy: -0.0801 eV per atom

---

3.
The following is a PBE calculation of crystalline Zn3As2 at its relaxed geometry, from the Materials Project database.

```
Zn3As2
1.0
5.956 0.000 0.000
0.000 5.956 0.000
0.000 0.000 5.956
Zn As
6 4
Direct
0.000 0.500 0.500
0.500 0.000 0.000
0.000 0.000 0.500
0.000 0.500 0.000
0.500 0.000 0.500
0.500 0.500 0.000
0.250 0.250 0.250
0.750 0.250 0.750
0.750 0.750 0.250
0.250 0.750 0.750
```

Output
* magnetic moment: 0.0 μB/cell
* formation energy: 0.0112 eV per atom

---

4.
The following is a PBE calculation of crystalline Zn3As2 at its relaxed geometry, from the Materials Project database.

```
Zn3As2
1.0
8.440 0.000 0.000
0.000 8.440 0.000
0.000 0.000 11.929
Zn As
24 16
Direct
0.500 0.724 0.610
0.776 0.000 0.110
0.224 0.000 0.110
0.000 0.776 0.890
0.000 0.224 0.890
0.500 0.276 0.610
0.724 0.500 0.390
0.276 0.500 0.390
0.500 0.779 0.886
0.721 0.000 0.386
0.279 0.000 0.386
0.000 0.721 0.614
0.000 0.279 0.614
0.500 0.221 0.886
0.779 0.500 0.114
0.221 0.500 0.114
0.500 0.746 0.146
0.754 0.000 0.646
0.246 0.000 0.646
0.000 0.754 0.354
0.000 0.246 0.354
0.500 0.254 0.146
0.746 0.500 0.854
0.254 0.500 0.854
0.500 0.500 0.746
0.000 0.000 0.246
0.000 0.000 0.754
0.500 0.500 0.254
0.500 0.000 0.746
0.500 0.000 0.246
0.000 0.500 0.754
0.000 0.500 0.254
0.753 0.753 0.500
0.747 0.253 0.000
0.253 0.747 0.000
0.247 0.247 0.500
0.747 0.747 0.000
0.753 0.247 0.500
0.247 0.753 0.500
0.253 0.253 0.000
```

Output
* formation energy: -0.1440 eV per atom